DFT (PBE-GGA) results for an optimized crystal structure of SmCuO3.

Results
The value obtained for the electronic total energy is -33.66 eV/f.u. Its formation enthalpy at 0 K is -12.06 eV/f.u.

Structure (extended XYZ):
```
20
Lattice="-0.101 -5.130 -1.556 6.311 0.024 -0.487 0.537 -2.094 6.865" Properties=species:S:1:pos:R:3 pbc="T T T"
Sm 0.683 -5.521 0.149
Sm 2.864 -3.996 4.217
Sm 3.884 -3.204 0.605
Sm 6.065 -1.679 4.673
Cu -0.050 -2.565 -0.778
Cu 0.218 -3.612 2.654
Cu 3.155 0.012 -0.243
Cu 3.424 -1.035 3.189
O 0.556 -4.707 4.180
O 1.272 -2.242 3.355
O 1.489 -3.086 6.123
O 2.327 -4.600 1.823
O 2.111 -3.756 -0.945
O 3.064 -1.085 1.316
O 3.684 -6.115 3.506
O 4.637 -3.444 5.767
O 4.420 -2.600 2.999
O 5.259 -4.113 -1.301
O 5.475 -4.957 1.467
O 6.191 -2.493 0.642
```

DFT (PBE-GGA) results for an optimized crystal structure of LiBiCSO7.

Results
The value obtained for the electronic total energy is -69.96 eV/f.u. Its formation enthalpy at 0 K is -20.97 eV/f.u. For the total magnetization, the calculation gives 0.000 μB per atom.

Structure (extended XYZ):
```
22
Lattice="6.972 0.000 0.000 0.000 5.445 0.000 0.000 0.137 9.209" Properties=species:S:1:pos:R:3 pbc="T T T"
Li 3.488 1.576 7.599
Li 0.002 4.006 1.610
Bi 5.251 4.320 5.958
Bi 1.765 1.262 3.251
C 5.122 4.051 8.613
C 1.636 1.531 0.595
S 1.811 4.028 5.460
S 5.297 1.553 3.748
O 1.914 1.800 8.605
O 5.139 5.237 7.980
O 4.839 3.027 7.797
O 0.615 4.425 6.255
O 2.946 4.873 5.964
O 5.086 1.249 5.216
O 2.120 2.594 5.594
O 5.606 2.988 3.615
O 1.600 4.333 3.992
O 6.433 0.709 3.245
O 4.101 1.157 2.954
O 1.353 2.555 1.412
O 1.653 0.345 1.229
O 5.400 3.782 0.604
```

Look up the electronic total energy of the first one. -33.66 eV/f.u.

Among the records above, which one has the lowest formation enthalpy at 0 K? LiBiCSO7

Which of these has the highest electronic total energy? SmCuO3

What is the formation enthalpy at 0 K in the first record? -12.06 eV/f.u.